Record 1
Here is an optimized crystal structure of Tc4Br7O from the Materials Project database. Energies are from PBE.

POSCAR file:
```
Tc4Br7O
1.0
9.5027 0.0000 0.0000
0.0000 10.0525 0.0000
0.0000 6.6767 20.0747
Tc Br O
16 28 4
direct
0.4939 0.3622 0.4698 Tc
0.9939 0.6378 0.0302 Tc
0.5061 0.6378 0.5302 Tc
0.0061 0.3622 0.9698 Tc
0.9803 0.2685 0.1039 Tc
0.4803 0.7315 0.3961 Tc
0.0197 0.7315 0.8961 Tc
0.5197 0.2685 0.6039 Tc
0.1422 0.4201 0.1108 Tc
0.6422 0.5799 0.3892 Tc
0.8578 0.5799 0.8892 Tc
0.3578 0.4201 0.6108 Tc
0.3317 0.5130 0.4769 Tc
0.8317 0.4870 0.0231 Tc
0.6683 0.4870 0.5231 Tc
0.1683 0.5130 0.9769 Tc
0.0184 0.5955 0.1549 Br
0.5184 0.4045 0.3451 Br
0.9816 0.4045 0.8451 Br
0.4816 0.5955 0.6549 Br
0.1019 0.1219 0.0422 Br
0.6019 0.8781 0.4578 Br
0.8981 0.8781 0.9578 Br
0.3981 0.1219 0.5422 Br
0.3567 0.3676 0.0520 Br
0.8567 0.6324 0.4480 Br
0.6433 0.6324 0.9480 Br
0.1433 0.3676 0.5520 Br
0.2588 0.6417 0.3568 Br
0.7588 0.3583 0.1432 Br
0.7412 0.3583 0.6432 Br
0.2412 0.6417 0.8568 Br
0.2590 0.7648 0.0038 Br
0.7590 0.2352 0.4962 Br
0.7410 0.2352 0.9962 Br
0.2410 0.7648 0.5038 Br
0.5093 0.9350 0.2864 Br
0.0093 0.0650 0.2136 Br
0.4907 0.0650 0.7136 Br
0.9907 0.9350 0.7864 Br
0.2760 0.3312 0.2181 Br
0.7760 0.6688 0.2819 Br
0.7240 0.6688 0.7819 Br
0.2240 0.3312 0.7181 Br
0.0099 0.1447 0.2757 O
0.5099 0.8553 0.2243 O
0.9901 0.8553 0.7243 O
0.4901 0.1447 0.7757 O
```

volume = 39.95 A^3/atom
ΔE_f = -0.2481 eV/atom
energy with MP2020 corrections = -0.3726 Ry/atom
space-group type = P2_1/c, No. 14

***

Record 2
Here is an optimized crystal structure of Mg11Al12Cu6 from the Materials Project database. Energies are from PBE.

POSCAR file:
```
Mg11Al12Cu6
1.0
-10.0409 -10.0409 0.0000
-10.0409 0.0000 -10.0409
0.0000 -10.0409 -10.0409
Mg Al Cu
44 48 24
direct
0.7500 0.7500 0.7500 Mg
0.0000 0.0000 0.0000 Mg
0.7437 0.7437 0.1372 Mg
0.7437 0.1372 0.3754 Mg
0.7437 0.3754 0.7437 Mg
0.7437 0.7437 0.3754 Mg
0.7437 0.1372 0.7437 Mg
0.7437 0.3754 0.1372 Mg
0.1372 0.7437 0.7437 Mg
0.3754 0.7437 0.1372 Mg
0.1372 0.7437 0.3754 Mg
0.3754 0.7437 0.7437 Mg
0.1372 0.3754 0.7437 Mg
0.3754 0.1372 0.7437 Mg
0.0063 0.0063 0.6128 Mg
0.0063 0.6128 0.3746 Mg
0.0063 0.3746 0.0063 Mg
0.0063 0.0063 0.3746 Mg
0.0063 0.6128 0.0063 Mg
0.0063 0.3746 0.6128 Mg
0.6128 0.0063 0.0063 Mg
0.3746 0.0063 0.6128 Mg
0.6128 0.0063 0.3746 Mg
0.3746 0.0063 0.0063 Mg
0.6128 0.3746 0.0063 Mg
0.3746 0.6128 0.0063 Mg
0.4974 0.8342 0.8342 Mg
0.8342 0.4974 0.8342 Mg
0.8342 0.8342 0.4974 Mg
0.8342 0.8342 0.8342 Mg
0.2526 0.9158 0.9158 Mg
0.9158 0.2526 0.9158 Mg
0.9158 0.9158 0.2526 Mg
0.9158 0.9158 0.9158 Mg
0.1562 0.1562 0.5314 Mg
0.1562 0.5314 0.1562 Mg
0.1562 0.1562 0.1562 Mg
0.5314 0.1562 0.1562 Mg
0.5938 0.5938 0.2186 Mg
0.5938 0.2186 0.5938 Mg
0.5938 0.5938 0.5938 Mg
0.2186 0.5938 0.5938 Mg
0.2500 0.2500 0.2500 Mg
0.5000 0.5000 0.5000 Mg
0.7982 0.6063 0.9891 Al
0.7982 0.9891 0.6063 Al
0.7982 0.6063 0.6063 Al
0.6063 0.7982 0.6063 Al
0.9891 0.7982 0.6063 Al
0.6063 0.7982 0.9891 Al
0.9891 0.6063 0.7982 Al
0.6063 0.6063 0.7982 Al
0.6063 0.9891 0.7982 Al
0.6063 0.9891 0.6063 Al
0.6063 0.6063 0.9891 Al
0.9891 0.6063 0.6063 Al
0.9518 0.1437 0.7609 Al
0.9518 0.7609 0.1437 Al
0.9518 0.1437 0.1437 Al
0.1437 0.9518 0.1437 Al
0.7609 0.9518 0.1437 Al
0.1437 0.9518 0.7609 Al
0.7609 0.1437 0.9518 Al
0.1437 0.1437 0.9518 Al
0.1437 0.7609 0.9518 Al
0.1437 0.7609 0.1437 Al
0.1437 0.1437 0.7609 Al
0.7609 0.1437 0.1437 Al
0.0164 0.3904 0.2028 Al
0.0164 0.2028 0.3904 Al
0.0164 0.3904 0.3904 Al
0.3904 0.0164 0.3904 Al
0.2028 0.0164 0.3904 Al
0.3904 0.0164 0.2028 Al
0.2028 0.3904 0.0164 Al
0.3904 0.3904 0.0164 Al
0.3904 0.2028 0.0164 Al
0.3904 0.2028 0.3904 Al
0.3904 0.3904 0.2028 Al
0.2028 0.3904 0.3904 Al
0.7336 0.3596 0.5472 Al
0.7336 0.5472 0.3596 Al
0.7336 0.3596 0.3596 Al
0.3596 0.7336 0.3596 Al
0.5472 0.7336 0.3596 Al
0.3596 0.7336 0.5472 Al
0.5472 0.3596 0.7336 Al
0.3596 0.3596 0.7336 Al
0.3596 0.5472 0.7336 Al
0.3596 0.5472 0.3596 Al
0.3596 0.3596 0.5472 Al
0.5472 0.3596 0.3596 Al
0.9208 0.5758 0.2517 Cu
0.9208 0.2517 0.2517 Cu
0.9208 0.2517 0.5758 Cu
0.5758 0.9208 0.2517 Cu
0.2517 0.9208 0.5758 Cu
0.2517 0.9208 0.2517 Cu
0.2517 0.2517 0.9208 Cu
0.2517 0.5758 0.9208 Cu
0.5758 0.2517 0.9208 Cu
0.2517 0.2517 0.5758 Cu
0.5758 0.2517 0.2517 Cu
0.2517 0.5758 0.2517 Cu
0.8292 0.1742 0.4983 Cu
0.8292 0.4983 0.4983 Cu
0.8292 0.4983 0.1742 Cu
0.1742 0.8292 0.4983 Cu
0.4983 0.8292 0.1742 Cu
0.4983 0.8292 0.4983 Cu
0.4983 0.4983 0.8292 Cu
0.4983 0.1742 0.8292 Cu
0.1742 0.4983 0.8292 Cu
0.4983 0.4983 0.1742 Cu
0.1742 0.4983 0.4983 Cu
0.4983 0.1742 0.4983 Cu
```

volume = 17.45 A^3/atom
ΔE_f = -0.1357 eV/atom
space-group type = Fd-3m, No. 227

***

Record 3
Here is an optimized crystal structure of Nd3GaO6 from the Materials Project database. Energies are from PBE.

POSCAR file:
```
Nd3GaO6
1.0
1.9287 0.5722 -7.1639
-2.6843 -6.9258 0.4424
-5.1537 1.9186 -1.2343
Nd Ga O
6 2 12
direct
0.3965 0.6035 0.9245 Nd
0.6035 0.3965 0.4245 Nd
0.2996 0.0871 0.9685 Nd
0.7004 0.9129 0.4685 Nd
0.9129 0.7004 0.9685 Nd
0.0871 0.2996 0.4685 Nd
0.1919 0.8081 0.5026 Ga
0.8081 0.1919 0.0026 Ga
0.2147 0.7853 0.1750 O
0.7853 0.2147 0.6750 O
0.0419 0.9581 0.6344 O
0.9581 0.0419 0.1344 O
0.3538 0.3275 0.6986 O
0.6462 0.6725 0.1986 O
0.6725 0.6462 0.6986 O
0.3275 0.3538 0.1986 O
0.8933 0.4153 0.1706 O
0.1067 0.5847 0.6706 O
0.5847 0.1067 0.1706 O
0.4153 0.8933 0.6706 O
```

volume = 15.21 A^3/atom
largest piezoelectric modulus = 0.4 C/m²
ΔE_f = -3.4509 eV/atom
energy with MP2020 corrections = -0.5992 Ry/atom
space-group type = Cmc2_1, No. 36

***

Record 4
Here is an optimized crystal structure of Ta2Ni21B6 from the Materials Project database. Energies are from PBE.

POSCAR file:
```
Ta2Ni21B6
1.0
-5.9248 -4.3951 -0.7485
-6.8052 2.9416 -0.1325
-3.8893 0.0633 -6.3127
Ta Ni B
2 21 6
direct
0.7500 0.7500 0.7500 Ta
0.2500 0.2500 0.2500 Ta
0.0000 0.0000 0.0000 Ni
0.6154 0.6154 0.1537 Ni
0.6154 0.1537 0.6154 Ni
0.1537 0.6154 0.6154 Ni
0.6154 0.6154 0.6154 Ni
0.3846 0.3846 0.8463 Ni
0.3846 0.8463 0.3846 Ni
0.8463 0.3846 0.3846 Ni
0.3846 0.3846 0.3846 Ni
0.0000 0.0000 0.3410 Ni
0.6590 0.0000 0.3410 Ni
0.0000 0.6590 0.3410 Ni
0.6590 0.3410 0.0000 Ni
0.0000 0.3410 0.0000 Ni
0.0000 0.3410 0.6590 Ni
0.3410 0.6590 0.0000 Ni
0.3410 0.0000 0.6590 Ni
0.3410 0.0000 0.0000 Ni
0.0000 0.0000 0.6590 Ni
0.0000 0.6590 0.0000 Ni
0.6590 0.0000 0.0000 Ni
0.7314 0.7314 0.2686 B
0.2686 0.7314 0.2686 B
0.7314 0.2686 0.2686 B
0.2686 0.2686 0.7314 B
0.7314 0.2686 0.7314 B
0.2686 0.7314 0.7314 B
```

volume = 9.94 A^3/atom
ΔE_f = -0.3301 eV/atom
space-group type = Fm-3m, No. 225

***

Record 5
Here is an optimized crystal structure of CrN2 from the Materials Project database. Energies are from PBE.

POSCAR file:
```
CrN2
1.0
6.8343 -7.3948 0.0000
6.8343 7.3948 0.0000
-1.1670 0.0000 10.0014
Cr N
12 24
direct
0.6676 0.1238 0.8959 Cr
0.8959 0.6676 0.1238 Cr
0.1238 0.8959 0.6676 Cr
0.8959 0.1238 0.6676 Cr
0.6676 0.8959 0.1238 Cr
0.1238 0.6676 0.8959 Cr
0.3324 0.8762 0.1041 Cr
0.1041 0.3324 0.8762 Cr
0.8762 0.1041 0.3324 Cr
0.1041 0.8762 0.3324 Cr
0.3324 0.1041 0.8762 Cr
0.8762 0.3324 0.1041 Cr
0.7549 0.1087 0.7549 N
0.7549 0.7549 0.1087 N
0.1087 0.7549 0.7549 N
0.2451 0.8913 0.2451 N
0.2451 0.2451 0.8913 N
0.8913 0.2451 0.2451 N
0.5000 0.1425 0.8575 N
0.8575 0.5000 0.1425 N
0.1425 0.8575 0.5000 N
0.8575 0.1425 0.5000 N
0.5000 0.8575 0.1425 N
0.1425 0.5000 0.8575 N
0.6790 0.9854 0.9854 N
0.9854 0.6790 0.9854 N
0.9854 0.9854 0.6790 N
0.3210 0.0146 0.0146 N
0.0146 0.3210 0.0146 N
0.0146 0.0146 0.3210 N
0.7416 0.2584 0.0000 N
0.0000 0.7416 0.2584 N
0.2584 0.0000 0.7416 N
0.0000 0.2584 0.7416 N
0.7416 0.0000 0.2584 N
0.2584 0.7416 0.0000 N
```

volume = 28.08 A^3/atom
ΔE_f = -0.0927 eV/atom
energy with MP2020 corrections = -0.6518 Ry/atom
space-group type = R-3m, No. 166

***

Record 6
Here is an optimized crystal structure of Cu3O4 from the Materials Project database. Energies are from PBE.

POSCAR file:
```
Cu3O4
1.0
0.0000 4.5096 4.5096
4.5096 0.0000 4.5096
4.5096 4.5096 0.0000
Cu O
6 8
direct
0.5000 0.0000 0.5000 Cu
0.5000 0.0000 0.0000 Cu
0.0000 0.0000 0.5000 Cu
0.0000 0.5000 0.0000 Cu
0.0000 0.5000 0.5000 Cu
0.5000 0.5000 0.0000 Cu
0.8576 0.4273 0.8576 O
0.1424 0.1424 0.1424 O
0.8576 0.8576 0.8576 O
0.5727 0.1424 0.1424 O
0.8576 0.8576 0.4273 O
0.4273 0.8576 0.8576 O
0.1424 0.1424 0.5727 O
0.1424 0.5727 0.1424 O
```

volume = 13.10 A^3/atom
ΔE_f = -0.7981 eV/atom
energy with MP2020 corrections = -0.3956 Ry/atom
space-group type = Fm-3m, No. 225

***

Record 7
Here is an optimized crystal structure of SmGa3Ni from the Materials Project database. Energies are from PBE.

POSCAR file:
```
SmGa3Ni
1.0
2.9987 3.0029 0.0000
-2.9987 3.0029 0.0000
0.0000 3.0029 5.1012
Sm Ga Ni
1 3 1
direct
0.0044 0.0044 0.9913 Sm
0.7558 0.2558 0.4883 Ga
0.2558 0.7558 0.4883 Ga
0.5900 0.5900 0.8200 Ga
0.3629 0.3629 0.2742 Ni
```

volume = 18.37 A^3/atom
ΔE_f = -0.6035 eV/atom
space-group type = Fmm2, No. 42

***

Record 8
Here is an optimized crystal structure of GdSi2Ir2 from the Materials Project database. Energies are from PBE.

POSCAR file:
```
GdSi2Ir2
1.0
4.2679 -2.4811 -3.0625
3.7156 -3.6426 2.5838
-5.7356 0.8374 -0.3888
Gd Si Ir
1 2 2
direct
0.0000 0.0000 0.0000 Gd
0.6221 0.6221 0.0000 Si
0.3779 0.3779 0.0000 Si
0.2500 0.7500 0.5000 Ir
0.7500 0.2500 0.5000 Ir
```

volume = 16.89 A^3/atom
ΔE_f = -0.0734 eV/atom
space-group type = I4/mmm, No. 139